Below is an optimized crystal structure of Ba3Sn2, with properties calculated at the PBE-GGA level.

Summary:
Formation enthalpy at 0 K   -0.641 eV/atom

a b c (Å): 6.7264 6.7264 18.1140
angles (deg): 90.00 90.00 90.00
Space group P4_32_12 (No. 96)
One atom of each set of equivalent atoms:
Ba 0.0856 0.3413 0.3871 x8
Ba 0.1723 0.1723 0.0000 x4
Sn 0.0880 0.1694 0.7977 x8